No. 1
An optimized crystal structure of K2AlTlI6. Source: the Materials Project database, functional PBE-GGA.

abc: 8.626 8.626 8.626
angles: 60.00 60.00 60.00
Element x y z (fractional)
K 0.250 0.250 0.250
K 0.750 0.750 0.750
Al 0.000 0.000 0.000
Tl 0.500 0.500 0.500
I 0.228 0.228 0.772
I 0.228 0.772 0.228
I 0.228 0.772 0.772
I 0.772 0.228 0.228
I 0.772 0.228 0.772
I 0.772 0.772 0.228

Its total energy is -2.643 eV/atom. The value obtained for the spin magnetization is 0.002 μB/f.u. The symmetry is Fm-3m.

No. 2
An optimized crystal structure of Ag15Bi16I64. Source: the Materials Project database, functional PBE-GGA.

abc: 8.809 9.029 59.275
angles: 86.88 85.74 61.01
Element x y z (fractional)
Ag 0.000 0.000 0.000
Ag 0.000 0.500 0.500
Ag 0.123 0.126 0.624
Ag 0.125 0.625 0.125
Ag 0.250 0.751 0.750
Ag 0.251 0.249 0.250
Ag 0.372 0.875 0.376
Ag 0.375 0.375 0.875
Ag 0.500 0.000 0.000
Ag 0.625 0.625 0.125
Ag 0.628 0.125 0.624
Ag 0.749 0.751 0.750
Ag 0.750 0.249 0.250
Ag 0.875 0.375 0.875
Ag 0.877 0.874 0.376
Bi 0.000 0.000 0.500
Bi 0.063 0.562 0.812
Bi 0.125 0.126 0.125
Bi 0.191 0.685 0.439
Bi 0.251 0.249 0.750
Bi 0.312 0.813 0.063
Bi 0.373 0.377 0.375
Bi 0.438 0.936 0.687
Bi 0.500 0.500 0.000
Bi 0.562 0.064 0.313
Bi 0.627 0.623 0.625
Bi 0.688 0.187 0.937
Bi 0.749 0.751 0.250
Bi 0.809 0.315 0.561
Bi 0.875 0.874 0.875
Bi 0.937 0.438 0.188
I 0.031 0.535 0.902
I 0.034 0.023 0.907
I 0.035 0.523 0.406
I 0.046 0.003 0.405
I 0.079 0.122 0.220
I 0.089 0.602 0.218
I 0.090 0.103 0.718
I 0.094 0.590 0.723
I 0.138 0.662 0.527
I 0.161 0.141 0.533
I 0.162 0.647 0.032
I 0.171 0.128 0.030
I 0.204 0.246 0.845
I 0.213 0.728 0.843
I 0.216 0.227 0.343
I 0.221 0.713 0.347
I 0.281 0.785 0.152
I 0.284 0.272 0.157
I 0.285 0.774 0.657
I 0.298 0.250 0.655
I 0.318 0.370 0.469
I 0.340 0.845 0.468
I 0.341 0.352 0.968
I 0.344 0.840 0.973
I 0.406 0.910 0.778
I 0.408 0.398 0.782
I 0.412 0.897 0.282
I 0.420 0.379 0.280
I 0.454 0.497 0.095
I 0.463 0.978 0.093
I 0.466 0.480 0.593
I 0.470 0.965 0.598
I 0.530 0.035 0.402
I 0.534 0.520 0.407
I 0.537 0.022 0.907
I 0.546 0.503 0.905
I 0.580 0.621 0.720
I 0.588 0.103 0.718
I 0.592 0.602 0.218
I 0.594 0.090 0.222
I 0.656 0.160 0.027
I 0.659 0.648 0.032
I 0.660 0.155 0.532
I 0.682 0.630 0.531
I 0.702 0.750 0.345
I 0.715 0.226 0.343
I 0.716 0.728 0.843
I 0.719 0.215 0.848
I 0.779 0.287 0.653
I 0.784 0.773 0.657
I 0.787 0.272 0.157
I 0.796 0.754 0.155
I 0.829 0.872 0.970
I 0.838 0.353 0.968
I 0.839 0.859 0.467
I 0.862 0.338 0.473
I 0.906 0.410 0.277
I 0.910 0.897 0.282
I 0.911 0.398 0.782
I 0.921 0.878 0.780
I 0.954 0.997 0.595
I 0.965 0.477 0.594
I 0.966 0.977 0.093
I 0.969 0.465 0.098

Its total energy is -2.501 eV/atom. The value obtained for the spin magnetization is 0.545 μB/f.u. The symmetry is P-1.

No. 3
An optimized crystal structure of B2O. Source: the Materials Project database, functional PBE-GGA.

abc: 2.572 2.572 10.132
angles: 90.00 90.00 120.00
Element x y z (fractional)
B 0.000 0.000 0.086
B 0.000 0.000 0.914
B 0.333 0.667 0.474
B 0.667 0.333 0.526
O 0.333 0.667 0.141
O 0.667 0.333 0.859

Its total energy is -6.584 eV/atom. The value obtained for the spin magnetization is 0.000 μB/f.u. The symmetry is P-3m1.

No. 4
An optimized crystal structure of CaPBrO8. Source: the Materials Project database, functional PBE-GGA.

abc: 10.971 10.971 7.055
angles: 94.47 94.47 33.94
Element x y z (fractional)
Ca 0.152 0.848 0.750
Ca 0.848 0.152 0.250
P 0.335 0.665 0.250
P 0.665 0.335 0.750
Br 0.000 0.500 0.000
Br 0.500 0.000 0.500
O 0.009 0.703 0.659
O 0.111 0.564 0.531
O 0.185 0.809 0.077
O 0.191 0.815 0.423
O 0.297 0.991 0.841
O 0.436 0.889 0.969
O 0.444 0.448 0.746
O 0.448 0.444 0.246
O 0.552 0.556 0.754
O 0.556 0.552 0.254
O 0.564 0.111 0.031
O 0.703 0.009 0.159
O 0.809 0.185 0.577
O 0.815 0.191 0.923
O 0.889 0.436 0.469
O 0.991 0.297 0.341

The value obtained for the distance to the lowest polymorph of the same formula is 0.034 eV/atom. Its total energy is -5.538 eV/atom. The value obtained for the spin magnetization is 5.779 μB/f.u. The symmetry is C2/c.

No. 5
An optimized crystal structure of Mn3Cd8N9. Source: the Materials Project database, functional PBE-GGA.

abc: 7.030 10.489 18.744
angles: 90.00 111.40 90.00
Element x y z (fractional)
Mn 0.026 0.090 0.261
Mn 0.026 0.410 0.761
Mn 0.325 0.121 0.592
Mn 0.325 0.379 0.092
Mn 0.359 0.608 0.572
Mn 0.359 0.892 0.072
Mn 0.641 0.108 0.928
Mn 0.641 0.392 0.428
Mn 0.675 0.621 0.908
Mn 0.675 0.879 0.408
Mn 0.974 0.590 0.239
Mn 0.974 0.910 0.739
Cd 0.136 0.663 0.905
Cd 0.136 0.837 0.405
Cd 0.142 0.141 0.959
Cd 0.142 0.359 0.459
Cd 0.149 0.608 0.086
Cd 0.149 0.892 0.586
Cd 0.206 0.141 0.767
Cd 0.206 0.359 0.267
Cd 0.304 0.120 0.141
Cd 0.304 0.380 0.641
Cd 0.304 0.670 0.739
Cd 0.304 0.830 0.239
Cd 0.317 0.575 0.375
Cd 0.317 0.925 0.875
Cd 0.414 0.110 0.421
Cd 0.414 0.390 0.921
Cd 0.586 0.610 0.079
Cd 0.586 0.890 0.579
Cd 0.683 0.075 0.125
Cd 0.683 0.425 0.625
Cd 0.696 0.170 0.761
Cd 0.696 0.330 0.261
Cd 0.696 0.620 0.359
Cd 0.696 0.880 0.859
Cd 0.794 0.641 0.733
Cd 0.794 0.859 0.233
Cd 0.851 0.108 0.414
Cd 0.851 0.392 0.914
Cd 0.858 0.641 0.541
Cd 0.858 0.859 0.041
Cd 0.864 0.163 0.595
Cd 0.864 0.337 0.095
N 0.068 0.052 0.354
N 0.068 0.448 0.854
N 0.090 0.183 0.532
N 0.090 0.317 0.032
N 0.096 0.730 0.287
N 0.096 0.770 0.787
N 0.192 0.035 0.226
N 0.192 0.465 0.726
N 0.196 0.678 0.613
N 0.196 0.822 0.113
N 0.237 0.574 0.479
N 0.237 0.926 0.979
N 0.373 0.176 0.686
N 0.373 0.324 0.186
N 0.387 0.170 0.898
N 0.387 0.330 0.398
N 0.483 0.615 0.943
N 0.483 0.885 0.443
N 0.517 0.115 0.557
N 0.517 0.385 0.057
N 0.613 0.670 0.602
N 0.613 0.830 0.102
N 0.627 0.676 0.814
N 0.627 0.824 0.314
N 0.763 0.074 0.021
N 0.763 0.426 0.521
N 0.804 0.178 0.887
N 0.804 0.322 0.387
N 0.808 0.535 0.274
N 0.808 0.965 0.774
N 0.904 0.230 0.213
N 0.904 0.270 0.713
N 0.910 0.683 0.968
N 0.910 0.817 0.468
N 0.932 0.552 0.146
N 0.932 0.948 0.646

Its total energy is -5.106 eV/atom. The value obtained for the spin magnetization is 4.000 μB/f.u. The symmetry is P2_1/c.

No. 6
An optimized crystal structure of Na13Ca7S12Cl2O48F. Source: the Materials Project database, functional PBE-GGA.

abc: 9.691 9.692 13.910
angles: 89.98 89.99 60.22
Element x y z (fractional)
Na 0.000 0.000 0.000
Na 0.001 0.003 0.517
Na 0.003 0.996 0.752
Na 0.324 0.342 0.511
Na 0.328 0.344 0.256
Na 0.331 0.339 0.749
Na 0.385 0.677 0.876
Na 0.388 0.940 0.633
Na 0.399 0.935 0.125
Na 0.655 0.957 0.874
Na 0.666 0.416 0.127
Na 0.917 0.686 0.127
Na 0.926 0.692 0.632
Ca 0.335 0.344 0.005
Ca 0.422 0.675 0.377
Ca 0.656 0.920 0.380
Ca 0.666 0.411 0.629
Ca 0.905 0.441 0.378
Ca 0.943 0.404 0.877
Ca 0.996 0.008 0.250
S 0.016 0.700 0.883
S 0.026 0.714 0.377
S 0.054 0.310 0.628
S 0.065 0.302 0.129
S 0.258 0.045 0.376
S 0.274 0.040 0.883
S 0.288 0.645 0.131
S 0.298 0.643 0.627
S 0.631 0.083 0.132
S 0.633 0.074 0.626
S 0.690 0.296 0.881
S 0.696 0.277 0.378
Cl 0.661 0.678 0.176
Cl 0.663 0.679 0.617
O 0.005 0.188 0.133
O 0.013 0.407 0.538
O 0.022 0.398 0.219
O 0.080 0.150 0.379
O 0.094 0.134 0.878
O 0.112 0.781 0.878
O 0.120 0.538 0.373
O 0.128 0.520 0.888
O 0.132 0.786 0.379
O 0.173 0.820 0.133
O 0.195 0.819 0.627
O 0.198 0.555 0.122
O 0.201 0.563 0.632
O 0.229 0.211 0.634
O 0.243 0.216 0.120
O 0.295 0.942 0.289
O 0.312 0.936 0.461
O 0.322 0.938 0.969
O 0.332 0.159 0.887
O 0.334 0.939 0.797
O 0.339 0.140 0.374
O 0.378 0.594 0.223
O 0.396 0.588 0.535
O 0.397 0.601 0.048
O 0.412 0.588 0.709
O 0.515 0.360 0.886
O 0.521 0.356 0.374
O 0.544 0.261 0.122
O 0.550 0.254 0.630
O 0.579 0.019 0.710
O 0.579 0.043 0.223
O 0.581 0.034 0.534
O 0.585 0.020 0.048
O 0.733 0.358 0.793
O 0.747 0.354 0.963
O 0.748 0.331 0.464
O 0.762 0.319 0.293
O 0.772 0.099 0.379
O 0.776 0.120 0.879
O 0.806 0.021 0.134
O 0.808 0.008 0.627
O 0.913 0.752 0.969
O 0.914 0.737 0.797
O 0.919 0.768 0.461
O 0.923 0.780 0.289
O 0.974 0.211 0.628
O 0.997 0.417 0.714
O 0.999 0.408 0.044
F 0.662 0.676 0.391

Its total energy is -5.921 eV/atom. The value obtained for the spin magnetization is 0.000 μB/f.u. The symmetry is P1.

| no. | ΔE_f (meV/atom) |
| --- | --- |
| 1 | -1123 |
| 2 | -627 |
| 3 | -711 |
| 4 | -1233 |
| 5 | 226 |
| 6 | -2421 |